No. 1
Material: La3Te4
Method: DFT, meta-GGA r2SCAN
State: relaxed

## Properties
* theoretical density: 6.735 g cm⁻³
* crystal system: cubic
* ΔH_f (0 K): -1.86 eV/atom

Cell and atoms, written as POSCAR:
```
La3Te4
1.0
7.9247 0.0000 -2.8018
-3.9623 6.8630 -2.8018
0.0000 0.0000 8.4054
La Te
6 8
direct
0.8750 0.1250 0.7500
0.3750 0.2500 0.6250
0.6250 0.3750 0.2500
0.1250 0.7500 0.8750
0.2500 0.6250 0.3750
0.7500 0.8750 0.1250
0.5000 0.0000 0.8500
0.5000 0.0000 0.3500
0.0000 0.8500 0.5000
0.1500 0.1500 0.1500
0.3500 0.5000 0.0000
0.6500 0.6500 0.6500
0.0000 0.3500 0.5000
0.8500 0.5000 0.0000
```


No. 2
Material: EuBi3
Method: DFT, meta-GGA r2SCAN
State: relaxed

## Properties
* theoretical density: 10.351 g cm⁻³
* crystal system: trigonal
* ΔH_f (0 K): -0.50 eV/atom

Cell and atoms, written as POSCAR:
```
EuBi3
1.0
-4.8690 -0.0357 -1.1350
0.4384 -4.6485 -1.7875
-1.0325 -1.8514 4.5275
Bi Eu
3 1
direct
0.5000 0.5000 0.0000
0.0000 0.5000 0.5000
0.5000 0.0000 0.5000
0.0000 0.0000 0.0000
```


No. 3
Material: HfZrFe4
Method: DFT, meta-GGA r2SCAN
State: relaxed

## Properties
* theoretical density: 9.323 g cm⁻³
* crystal system: cubic
* ΔH_f (0 K): -0.23 eV/atom

Cell and atoms, written as POSCAR:
```
HfZrFe4
1.0
-3.5282 0.0000 -3.5282
3.5279 -3.5279 0.0002
-3.5282 -3.5282 0.0000
Fe Hf Zr
4 1 1
direct
0.7504 0.3752 0.8745
0.2496 0.8745 0.3752
0.7504 0.3752 0.3752
0.2496 0.3752 0.3752
0.5000 0.7500 0.7500
0.0000 0.0000 0.0000
```


No. 4
Material: SrGa2Rh2
Method: DFT, meta-GGA r2SCAN
State: relaxed

## Properties
* theoretical density: 7.050 g cm⁻³
* crystal system: orthorhombic
* ΔH_f (0 K): -0.76 eV/atom

Cell and atoms, written as POSCAR:
```
SrGa2Rh2
1.0
0.7694 2.3730 8.1402
-4.2445 -0.0754 5.9385
3.5279 -2.8883 3.8979
Ga Rh Sr
4 4 2
direct
0.0696 0.4304 0.0696
0.8196 0.1804 0.8196
0.1804 0.8196 0.1804
0.4304 0.0696 0.4304
0.3668 0.3668 0.1332
0.1168 0.1168 0.8832
0.8832 0.8832 0.1168
0.1332 0.1332 0.3668
0.5000 0.5000 0.5000
0.7500 0.7500 0.7500
```


- What is the ΔH_f (0 K) in the third record?
  -0.23 eV/atom


Copy entry 4 word for word.
Material: SrGa2Rh2
Method: DFT, meta-GGA r2SCAN
State: relaxed

## Properties
* theoretical density: 7.050 g cm⁻³
* crystal system: orthorhombic
* ΔH_f (0 K): -0.76 eV/atom

Cell and atoms, written as POSCAR:
```
SrGa2Rh2
1.0
0.7694 2.3730 8.1402
-4.2445 -0.0754 5.9385
3.5279 -2.8883 3.8979
Ga Rh Sr
4 4 2
direct
0.0696 0.4304 0.0696
0.8196 0.1804 0.8196
0.1804 0.8196 0.1804
0.4304 0.0696 0.4304
0.3668 0.3668 0.1332
0.1168 0.1168 0.8832
0.8832 0.8832 0.1168
0.1332 0.1332 0.3668
0.5000 0.5000 0.5000
0.7500 0.7500 0.7500
```


- Look up the ΔH_f (0 K) of the second one.
  -0.50 eV/atom


- The lowest ΔH_f (0 K) belongs to which entry?
  La3Te4